# r²SCAN K3Nb3B2O12, optimized geometry
data_K3Nb3B2O12
_cell_length_a 8.859
_cell_length_b 8.859
_cell_length_c 3.976
_cell_angle_alpha 90.00
_cell_angle_beta 90.00
_cell_angle_gamma 120.00
_symmetry_space_group_name_H-M 'P 1'
_symmetry_Int_Tables_number 1
loop_
_symmetry_equiv_pos_as_xyz
'x,y,z'
loop_
_atom_site_label
_atom_site_type_symbol
_atom_site_fract_x
_atom_site_fract_y
_atom_site_fract_z
K1 K 0.000 0.597 0.000
K2 K 0.403 0.403 0.000
K3 K 0.597 0.000 0.000
Nb1 Nb 0.000 0.247 0.516
Nb2 Nb 0.247 0.000 0.516
Nb3 Nb 0.753 0.753 0.516
B1 B 0.333 0.667 0.482
B2 B 0.667 0.333 0.482
O1 O 0.000 0.263 0.986
O2 O 0.000 0.819 0.487
O3 O 0.181 0.181 0.487
O4 O 0.188 0.505 0.482
O5 O 0.263 0.000 0.986
O6 O 0.317 0.812 0.482
O7 O 0.495 0.683 0.482
O8 O 0.505 0.188 0.482
O9 O 0.683 0.495 0.482
O10 O 0.737 0.737 0.986
O11 O 0.812 0.317 0.482
O12 O 0.819 0.000 0.487
# E_form = -2.670 eV per atom
# magnetization = 0.0 μB per formula unit